Fe21O32 after structural relaxation, computed with PBE with a Hubbard U.

abc: 8.292 8.292 8.292
angles: 89.39 89.39 89.39
Fractional coordinates of all 53 atoms:
O: 0.488 0.492 0.256
Fe: 0.500 0.996 0.004
O: 0.237 0.492 0.015
Fe: 0.365 0.373 0.876
O: 0.270 0.239 0.730
Fe: 0.749 0.751 0.499
O: 0.730 0.270 0.761
O: 0.494 0.985 0.764
Fe: 0.874 0.874 0.874
O: 0.744 0.508 0.512
O: 0.735 0.007 0.986
O: 0.239 0.730 0.270
O: 0.014 0.993 0.265
Fe: 0.124 0.627 0.635
O: 0.763 0.985 0.508
O: 0.508 0.512 0.744
Fe: 0.126 0.126 0.126
O: 0.985 0.764 0.494
Fe: 0.501 0.249 0.251
O: 0.986 0.735 0.007
O: 0.007 0.986 0.735
O: 0.015 0.506 0.236
O: 0.764 0.494 0.985
Fe: 0.996 0.004 0.500
Fe: 0.500 0.500 0.500
Fe: 0.000 0.757 0.243
O: 0.508 0.763 0.985
Fe: 0.004 0.500 0.996
Fe: 0.251 0.501 0.249
O: 0.236 0.015 0.506
Fe: 0.373 0.876 0.365
O: 0.736 0.736 0.736
Fe: 0.499 0.749 0.751
O: 0.993 0.265 0.014
O: 0.730 0.270 0.239
Fe: 0.635 0.124 0.627
O: 0.985 0.508 0.763
O: 0.512 0.744 0.508
O: 0.270 0.761 0.730
Fe: 0.757 0.243 0.000
O: 0.506 0.236 0.015
Fe: 0.751 0.499 0.749
O: 0.492 0.015 0.237
O: 0.265 0.014 0.993
O: 0.015 0.237 0.492
Fe: 0.243 0.000 0.757
O: 0.761 0.730 0.270
Fe: 0.249 0.251 0.501
O: 0.264 0.264 0.264
O: 0.492 0.256 0.488
O: 0.256 0.488 0.492
Fe: 0.627 0.635 0.124
Fe: 0.876 0.365 0.373

Values from the calculation:
magnetization: 104.00 μB/f.u.
calculated density: 4.91 g cm⁻³
MP2020-corrected energy: -415.508 eV for the cell shown
formation energy from the elements: -144 kJ per mole of atoms